Compound: Tb3Ge6Pt4
Source: the Materials Project database
Functional: r2SCAN
Structure: relaxed

Properties
Crystal system = orthorhombic
Uncorrected energy = -1581.900 eV per cell
Space group = Pnma, No. 62

Lattice parameters (Å, degrees): 26.130 4.332 8.738 90.00 90.00 90.00
Fractional positions:
Tb  0.093  0.250  0.111
Tb  0.094  0.250  0.638
Tb  0.219  0.250  0.875
Tb  0.281  0.750  0.375
Tb  0.406  0.750  0.138
Tb  0.407  0.750  0.611
Tb  0.593  0.250  0.389
Tb  0.594  0.250  0.862
Tb  0.719  0.250  0.625
Tb  0.781  0.750  0.125
Tb  0.906  0.750  0.362
Tb  0.907  0.750  0.889
Ge  0.001  0.250  0.378
Ge  0.003  0.750  0.128
Ge  0.138  0.750  0.875
Ge  0.141  0.750  0.374
Ge  0.217  0.250  0.227
Ge  0.217  0.250  0.523
Ge  0.283  0.750  0.023
Ge  0.283  0.750  0.727
Ge  0.359  0.250  0.874
Ge  0.362  0.250  0.375
Ge  0.497  0.250  0.628
Ge  0.499  0.750  0.878
Ge  0.501  0.250  0.122
Ge  0.503  0.750  0.372
Ge  0.638  0.750  0.625
Ge  0.641  0.750  0.126
Ge  0.717  0.250  0.273
Ge  0.717  0.250  0.977
Ge  0.783  0.750  0.477
Ge  0.783  0.750  0.773
Ge  0.859  0.250  0.626
Ge  0.862  0.250  0.125
Ge  0.997  0.250  0.872
Ge  0.999  0.750  0.622
Pt  0.044  0.750  0.871
Pt  0.050  0.750  0.379
Pt  0.187  0.750  0.124
Pt  0.187  0.750  0.625
Pt  0.313  0.250  0.125
Pt  0.313  0.250  0.624
Pt  0.450  0.250  0.879
Pt  0.456  0.250  0.371
Pt  0.544  0.750  0.629
Pt  0.550  0.750  0.121
Pt  0.687  0.750  0.376
Pt  0.687  0.750  0.875
Pt  0.813  0.250  0.375
Pt  0.813  0.250  0.876
Pt  0.950  0.250  0.621
Pt  0.956  0.250  0.129